1.
# Ca2Mn7Si10H12O35

Ca2Mn7Si10H12O35 after structural relaxation (GGA+U, Materials Project).

## Properties
Space group: P1 (1)
Polymorph energy (0 for the lowest one): 0 meV per atom
Total energy: -7.049 eV/atom

```
Ca2Mn7Si10H12O35
1.0
8.997 0.000 0.000
0.848 8.994 0.000
1.095 0.506 9.341
Ca Mn Si H O
2 7 10 12 35
direct
0.000 0.000 0.000
0.422 0.796 0.521
0.036 0.672 0.184
0.063 0.337 0.370
0.357 0.458 0.155
0.384 0.121 0.339
0.682 0.234 0.114
0.711 0.894 0.260
0.743 0.558 0.424
0.031 0.977 0.376
0.056 0.342 0.018
0.070 0.671 0.535
0.353 0.126 0.988
0.365 0.454 0.504
0.391 0.817 0.145
0.463 0.166 0.658
0.677 0.615 0.071
0.746 0.178 0.447
0.961 0.633 0.864
0.026 0.945 0.688
0.032 0.119 0.692
0.107 0.345 0.672
0.312 0.448 0.847
0.386 0.680 0.831
0.396 0.852 0.833
0.477 0.441 0.887
0.679 0.963 0.986
0.692 0.375 0.671
0.734 0.516 0.754
0.743 0.837 0.535
0.936 0.362 0.645
0.023 0.746 0.962
0.029 0.026 0.753
0.035 0.306 0.617
0.051 0.464 0.877
0.109 0.428 0.149
0.110 0.843 0.482
0.144 0.107 0.337
0.189 0.211 0.959
0.234 0.585 0.564
0.278 0.688 0.184
0.312 0.365 0.374
0.315 0.953 0.038
0.372 0.335 0.647
0.377 0.493 0.906
0.396 0.771 0.769
0.401 0.051 0.562
0.431 0.208 0.105
0.447 0.892 0.282
0.456 0.118 0.831
0.510 0.544 0.462
0.544 0.751 0.046
0.597 0.460 0.102
0.642 0.195 0.605
0.643 0.131 0.327
0.684 0.790 0.473
0.738 0.007 0.050
0.755 0.459 0.667
0.775 0.656 0.196
0.780 0.610 0.911
0.825 0.330 0.398
0.877 0.042 0.477
0.910 0.253 0.052
0.971 0.684 0.692
0.974 0.904 0.240
0.993 0.589 0.417
```



2.
# Li9Mn2Co5O16

Li9Mn2Co5O16 after structural relaxation (GGA+U, Materials Project).

## Properties
Space group: P-1 (2)
Polymorph energy (0 for the lowest one): 50 meV per atom
Total energy: -5.805 eV/atom

```
Li9Mn2Co5O16
1.0
5.713 0.000 0.000
2.834 5.195 0.000
2.853 -1.254 9.621
Li Mn Co O
9 2 5 16
direct
0.000 0.000 0.000
0.000 0.247 0.754
0.000 0.753 0.246
0.005 0.746 0.750
0.493 0.755 0.753
0.498 0.252 0.755
0.502 0.748 0.245
0.507 0.245 0.247
0.995 0.254 0.250
0.500 0.000 0.500
0.500 0.500 0.000
0.000 0.000 0.500
0.000 0.500 0.000
0.000 0.500 0.500
0.500 0.000 0.000
0.500 0.500 0.500
0.235 0.392 0.617
0.241 0.620 0.388
0.244 0.608 0.889
0.250 0.108 0.384
0.250 0.389 0.115
0.261 0.877 0.619
0.281 0.107 0.889
0.285 0.842 0.106
0.715 0.158 0.894
0.719 0.893 0.111
0.739 0.123 0.381
0.750 0.611 0.885
0.750 0.892 0.616
0.756 0.392 0.111
0.759 0.380 0.612
0.765 0.608 0.383
```



3.
# TiFeO4

TiFeO4 after structural relaxation (GGA+U, Materials Project).

## Properties
Polymorph energy (0 for the lowest one): 0 meV per atom
Total energy: -7.550 eV/atom

```
TiFeO4
1.0
1.432 -2.290 2.701
-6.948 2.013 2.690
-6.750 -7.400 -2.694
Ti Fe O
4 4 16
direct
0.687 0.375 0.560
0.938 0.876 0.315
0.438 0.876 0.815
0.187 0.375 0.060
0.249 0.499 0.749
0.501 0.001 0.501
0.001 0.001 0.001
0.749 0.499 0.249
0.740 0.479 0.715
0.989 0.977 0.469
0.489 0.977 0.969
0.240 0.479 0.215
0.636 0.272 0.408
0.886 0.772 0.157
0.386 0.772 0.657
0.136 0.272 0.908
0.949 0.899 0.848
0.198 0.396 0.595
0.698 0.396 0.095
0.449 0.899 0.348
0.050 0.100 0.155
0.302 0.605 0.902
0.802 0.605 0.402
0.550 0.100 0.655
```



4.
# V3O5F

V3O5F after structural relaxation (GGA+U, Materials Project).

## Properties
Space group: P1 (1)
Polymorph energy (0 for the lowest one): 38 meV per atom
Total energy: -7.557 eV/atom

```
V3O5F
1.0
4.691 0.000 0.000
-0.028 5.553 0.000
-0.035 -0.798 7.462
V O F
6 10 2
direct
0.000 0.000 0.000
0.001 0.645 0.641
0.010 0.335 0.306
0.461 0.175 0.659
0.490 0.809 0.309
0.495 0.493 0.977
0.172 0.699 0.871
0.194 0.362 0.549
0.198 0.018 0.213
0.281 0.187 0.879
0.296 0.528 0.215
0.312 0.869 0.544
0.690 0.444 0.734
0.693 0.803 0.095
0.791 0.286 0.073
0.801 0.635 0.424
0.696 0.129 0.417
0.787 0.960 0.749
```



5.
# CdFe2O4

CdFe2O4 after structural relaxation (GGA+U, Materials Project).

## Properties
Space group: Fd-3m (227)
Polymorph energy (0 for the lowest one): 0 meV per atom
Total energy: -5.964 eV/atom

```
CdFe2O4
1.0
0.000 4.414 4.414
4.414 0.000 4.414
4.414 4.414 0.000
Cd Fe O
2 4 8
direct
0.125 0.125 0.125
0.875 0.875 0.875
0.000 0.500 0.500
0.500 0.000 0.500
0.500 0.500 0.000
0.500 0.500 0.500
0.268 0.268 0.268
0.268 0.268 0.697
0.268 0.697 0.268
0.303 0.732 0.732
0.697 0.268 0.268
0.732 0.303 0.732
0.732 0.732 0.303
0.732 0.732 0.732
```



6.
# MgMnCo2O6

MgMnCo2O6 after structural relaxation (GGA+U, Materials Project).

## Properties
Space group: P1 (1)
Polymorph energy (0 for the lowest one): 75 meV per atom
Total energy: -6.134 eV/atom

```
MgMnCo2O6
1.0
2.925 0.000 0.000
-0.017 6.255 0.000
-1.446 -2.308 6.704
Mg Mn Co O
1 1 2 6
direct
0.000 0.000 0.000
0.899 0.268 0.792
0.238 0.911 0.470
0.579 0.580 0.150
0.044 0.343 0.084
0.080 0.797 0.147
0.406 0.039 0.808
0.412 0.466 0.816
0.717 0.703 0.430
0.759 0.124 0.511
```



7.
# Mg14CrBO16

Mg14CrBO16 after structural relaxation (GGA+U, Materials Project).

## Properties
Space group: P4/mmm (123)
Polymorph energy (0 for the lowest one): 4 meV per atom
Total energy: -6.016 eV/atom

```
Mg14CrBO16
1.0
8.527 0.000 0.000
0.000 8.527 0.000
0.000 0.000 4.254
Mg Cr B O
14 1 1 16
direct
0.000 0.247 0.000
0.000 0.500 0.500
0.000 0.753 0.000
0.246 0.246 0.500
0.246 0.754 0.500
0.247 0.000 0.000
0.249 0.500 0.000
0.500 0.000 0.500
0.500 0.249 0.000
0.500 0.751 0.000
0.751 0.500 0.000
0.753 0.000 0.000
0.754 0.246 0.500
0.754 0.754 0.500
0.500 0.500 0.500
0.000 0.000 0.500
0.000 0.000 0.000
0.000 0.256 0.500
0.000 0.500 0.000
0.000 0.744 0.500
0.250 0.250 0.000
0.250 0.750 0.000
0.251 0.500 0.500
0.256 0.000 0.500
0.500 0.000 0.000
0.500 0.251 0.500
0.500 0.500 0.000
0.500 0.749 0.500
0.744 0.000 0.500
0.749 0.500 0.500
0.750 0.250 0.000
0.750 0.750 0.000
```



8.
# Li4CrCo3P4O16

Li4CrCo3P4O16 after structural relaxation (GGA+U, Materials Project).

## Properties
Space group: Pm (6)
Total energy: -6.759 eV/atom

```
Li4CrCo3P4O16
1.0
4.765 0.000 0.000
0.000 6.090 0.000
-0.106 0.000 10.255
Li Cr Co P O
4 1 3 4 16
direct
0.000 0.246 0.000
0.000 0.754 0.000
0.491 0.247 0.503
0.491 0.753 0.503
0.541 0.500 0.218
0.016 0.000 0.283
0.478 0.000 0.780
0.985 0.500 0.722
0.080 0.500 0.406
0.418 0.500 0.905
0.584 0.000 0.094
0.910 0.000 0.596
0.198 0.500 0.549
0.212 0.294 0.338
0.212 0.706 0.338
0.233 0.000 0.602
0.262 0.000 0.098
0.279 0.297 0.835
0.279 0.703 0.835
0.302 0.500 0.047
0.701 0.000 0.953
0.727 0.199 0.165
0.727 0.801 0.165
0.740 0.500 0.902
0.756 0.500 0.398
0.773 0.203 0.666
0.773 0.797 0.666
0.790 0.000 0.455
```



9.
# Li4Ti2Mn3Nb3O16

Li4Ti2Mn3Nb3O16 after structural relaxation (GGA+U, Materials Project).

## Properties
Space group: Cm (8)
Total energy: -7.890 eV/atom

```
Li4Ti2Mn3Nb3O16
1.0
5.433 -3.036 0.000
5.433 3.036 0.000
-0.358 0.000 9.890
Li Ti Mn Nb O
4 2 3 3 16
direct
0.000 0.000 0.000
0.005 0.005 0.512
0.338 0.338 0.418
0.671 0.671 0.912
0.366 0.366 0.994
0.678 0.678 0.519
0.180 0.671 0.718
0.671 0.180 0.718
0.838 0.838 0.221
0.185 0.185 0.742
0.348 0.844 0.233
0.844 0.348 0.233
0.007 0.007 0.329
0.018 0.018 0.816
0.044 0.476 0.866
0.166 0.166 0.115
0.192 0.669 0.106
0.323 0.323 0.617
0.359 0.848 0.608
0.476 0.044 0.866
0.484 0.484 0.870
0.509 0.962 0.358
0.522 0.522 0.356
0.665 0.665 0.113
0.669 0.192 0.106
0.834 0.834 0.595
0.848 0.359 0.608
0.962 0.509 0.358
```



10.
# CaV2O4

CaV2O4 after structural relaxation (GGA+U, Materials Project).

## Properties
Space group: Imma (74)
Polymorph energy (0 for the lowest one): 260 meV per atom
Total energy: -7.372 eV/atom

```
CaV2O4
1.0
-3.131 3.152 4.434
3.131 -3.152 4.434
3.131 3.152 -4.434
Ca V O
2 4 8
direct
0.500 0.000 0.000
0.500 0.500 0.500
0.000 0.000 0.000
0.115 0.365 0.750
0.500 0.000 0.500
0.885 0.635 0.250
0.218 0.228 0.990
0.241 0.225 0.484
0.241 0.757 0.016
0.263 0.772 0.490
0.737 0.228 0.510
0.759 0.243 0.984
0.759 0.775 0.516
0.782 0.772 0.010
```



11.
# MgFeO2

MgFeO2 after structural relaxation (GGA+U, Materials Project).

## Properties
Space group: P1 (1)
Total energy: -6.142 eV/atom

```
MgFeO2
1.0
2.962 0.000 0.000
1.466 8.018 0.000
1.476 0.679 8.083
Mg Fe O
4 4 8
direct
0.000 0.000 0.000
0.115 0.589 0.169
0.245 0.814 0.708
0.361 0.404 0.877
0.387 0.907 0.337
0.604 0.125 0.665
0.760 0.278 0.212
0.976 0.498 0.540
0.368 0.141 0.112
0.370 0.578 0.682
0.573 0.467 0.362
0.624 0.916 0.843
0.737 0.487 0.034
0.791 0.937 0.515
0.991 0.826 0.195
0.992 0.262 0.766
```



12.
# Li5Co8O16

Li5Co8O16 after structural relaxation (GGA+U, Materials Project).

## Properties
Space group: P1 (1)
Polymorph energy (0 for the lowest one): 46 meV per atom
Total energy: -5.691 eV/atom

```
Li5Co8O16
1.0
2.891 0.000 0.000
0.003 9.912 0.000
0.224 4.409 10.062
Li Co O
5 8 16
direct
0.000 0.000 0.000
0.006 0.498 0.997
0.081 0.428 0.496
0.535 0.710 0.497
0.803 0.054 0.499
0.030 0.222 0.750
0.031 0.734 0.748
0.287 0.348 0.255
0.297 0.845 0.253
0.522 0.974 0.754
0.533 0.478 0.744
0.776 0.605 0.240
0.795 0.103 0.239
0.016 0.855 0.847
0.017 0.360 0.839
0.029 0.098 0.653
0.047 0.604 0.642
0.259 0.556 0.147
0.291 0.137 0.352
0.295 0.050 0.145
0.313 0.634 0.356
0.519 0.086 0.860
0.530 0.586 0.850
0.532 0.867 0.642
0.538 0.367 0.640
0.775 0.393 0.351
0.789 0.882 0.350
0.796 0.316 0.155
0.808 0.810 0.152
```